# CuH4O2F2 (GGA-PBE, optimized geometry)
data_CuH4O2F2
_cell_length_a 5.008
_cell_length_b 5.008
_cell_length_c 3.377
_cell_angle_alpha 75.97
_cell_angle_beta 75.97
_cell_angle_gamma 94.22
_symmetry_space_group_name_H-M 'P 1'
_symmetry_Int_Tables_number 1
loop_
_symmetry_equiv_pos_as_xyz
'x,y,z'
loop_
_atom_site_label
_atom_site_type_symbol
_atom_site_fract_x
_atom_site_fract_y
_atom_site_fract_z
O1 O 0.740 0.260 0.000
H1 H 0.229 0.551 0.203
F1 F 0.767 0.767 0.545
O2 O 0.260 0.740 0.000
Cu1 Cu 0.000 0.000 0.000
H2 H 0.449 0.771 0.797
H3 H 0.551 0.229 0.203
F2 F 0.233 0.233 0.455
H4 H 0.771 0.449 0.797
# - crystal system = monoclinic
# - ΔE_f (meV per atom) = -1465

# CuH4O2F2 (GGA-PBE, optimized geometry)
data_CuH4O2F2
_cell_length_a 5.221
_cell_length_b 5.221
_cell_length_c 3.338
_cell_angle_alpha 75.49
_cell_angle_beta 75.49
_cell_angle_gamma 89.48
_symmetry_space_group_name_H-M 'P 1'
_symmetry_Int_Tables_number 1
loop_
_symmetry_equiv_pos_as_xyz
'x,y,z'
loop_
_atom_site_label
_atom_site_type_symbol
_atom_site_fract_x
_atom_site_fract_y
_atom_site_fract_z
H1 H 0.224 0.544 0.066
F1 F 0.776 0.776 0.823
Cu1 Cu 0.000 0.000 0.000
H2 H 0.776 0.456 0.934
O1 O 0.262 0.738 0.000
O2 O 0.738 0.262 0.000
H3 H 0.456 0.776 0.934
H4 H 0.544 0.224 0.066
F2 F 0.224 0.224 0.177
# - crystal system = monoclinic
# - ΔE_f (meV per atom) = -1463

# CuHOF (GGA-PBE, optimized geometry)
data_CuHOF
_cell_length_a 6.469
_cell_length_b 5.077
_cell_length_c 5.390
_cell_angle_alpha 65.66
_cell_angle_beta 90.00
_cell_angle_gamma 90.00
_symmetry_space_group_name_H-M 'P 1'
_symmetry_Int_Tables_number 1
loop_
_symmetry_equiv_pos_as_xyz
'x,y,z'
loop_
_atom_site_label
_atom_site_type_symbol
_atom_site_fract_x
_atom_site_fract_y
_atom_site_fract_z
F1 F 0.391 0.282 0.371
O1 O 0.640 0.169 0.836
F2 F 0.609 0.718 0.629
F3 F 0.891 0.718 0.129
F4 F 0.109 0.282 0.871
O2 O 0.140 0.831 0.664
H1 H 0.635 0.387 0.747
Cu1 Cu 0.880 0.988 0.741
Cu2 Cu 0.620 0.988 0.241
O3 O 0.360 0.831 0.164
H2 H 0.135 0.613 0.753
O4 O 0.860 0.169 0.336
Cu3 Cu 0.120 0.012 0.259
Cu4 Cu 0.380 0.012 0.759
H3 H 0.865 0.387 0.247
H4 H 0.365 0.613 0.253
# - crystal system = monoclinic
# - ΔE_f (meV per atom) = -1418

# CuPH4O5F (GGA-PBE, optimized geometry)
data_CuPH4O5F
_cell_length_a 7.885
_cell_length_b 7.663
_cell_length_c 9.268
_cell_angle_alpha 67.01
_cell_angle_beta 90.00
_cell_angle_gamma 90.00
_symmetry_space_group_name_H-M 'P 1'
_symmetry_Int_Tables_number 1
loop_
_symmetry_equiv_pos_as_xyz
'x,y,z'
loop_
_atom_site_label
_atom_site_type_symbol
_atom_site_fract_x
_atom_site_fract_y
_atom_site_fract_z
H1 H 0.829 0.931 0.463
O1 O 0.512 0.435 0.158
O2 O 0.488 0.565 0.842
Cu1 Cu 0.311 0.396 0.049
O3 O 0.788 0.054 0.584
O4 O 0.120 0.120 0.612
O5 O 0.649 0.647 0.589
H2 H 0.222 0.005 0.818
O6 O 0.288 0.946 0.916
O7 O 0.330 0.582 0.597
H3 H 0.278 0.005 0.318
O8 O 0.830 0.418 0.903
P1 P 0.999 0.461 0.814
H4 H 0.235 0.821 0.977
Cu2 Cu 0.189 0.396 0.549
O9 O 0.620 0.880 0.888
H5 H 0.506 0.099 0.109
Cu3 Cu 0.811 0.604 0.451
H6 H 0.778 0.995 0.182
O10 O 0.351 0.353 0.411
O11 O 0.851 0.647 0.089
H7 H 0.722 0.995 0.682
P2 P 0.499 0.539 0.686
F1 F 0.032 0.681 0.767
O12 O 0.380 0.120 0.112
H8 H 0.994 0.099 0.609
H9 H 0.171 0.069 0.537
O13 O 0.712 0.054 0.084
O14 O 0.149 0.353 0.911
F2 F 0.468 0.681 0.267
H10 H 0.265 0.821 0.477
H11 H 0.765 0.179 0.023
O15 O 0.670 0.418 0.403
O16 O 0.012 0.565 0.342
Cu4 Cu 0.689 0.604 0.951
O17 O 0.212 0.946 0.416
O18 O 0.880 0.880 0.388
P3 P 0.001 0.539 0.186
H12 H 0.494 0.901 0.891
O19 O 0.988 0.435 0.658
H13 H 0.671 0.931 0.963
H14 H 0.735 0.179 0.523
H15 H 0.006 0.901 0.391
P4 P 0.501 0.461 0.314
H16 H 0.329 0.069 0.037
F3 F 0.968 0.319 0.233
F4 F 0.532 0.319 0.733
O20 O 0.170 0.582 0.097
# - crystal system = monoclinic
# - ΔE_f (meV per atom) = -1737

# CuSiH8O4F6 (GGA-PBE, optimized geometry)
data_CuSiH8O4F6
_cell_length_a 9.490
_cell_length_b 6.194
_cell_length_c 6.823
_cell_angle_alpha 69.03
_cell_angle_beta 90.00
_cell_angle_gamma 90.00
_symmetry_space_group_name_H-M 'P 1'
_symmetry_Int_Tables_number 1
loop_
_symmetry_equiv_pos_as_xyz
'x,y,z'
loop_
_atom_site_label
_atom_site_type_symbol
_atom_site_fract_x
_atom_site_fract_y
_atom_site_fract_z
H1 H 0.845 0.058 0.698
F1 F 0.357 0.181 0.473
F2 F 0.591 0.217 0.315
H2 H 0.201 0.907 0.796
H3 H 0.284 0.225 0.027
H4 H 0.345 0.442 0.302
F3 F 0.143 0.681 0.473
H5 H 0.401 0.706 0.235
O1 O 0.646 0.684 0.080
H6 H 0.901 0.794 0.765
O2 O 0.854 0.184 0.080
O3 O 0.354 0.316 0.920
O4 O 0.637 0.412 0.821
H7 H 0.716 0.775 0.973
F4 F 0.567 0.084 0.696
O5 O 0.363 0.588 0.179
O6 O 0.146 0.816 0.920
H8 H 0.655 0.558 0.698
O7 O 0.863 0.912 0.821
H9 H 0.799 0.093 0.204
H10 H 0.599 0.294 0.765
H11 H 0.784 0.275 0.973
F5 F 0.433 0.916 0.304
H12 H 0.299 0.407 0.796
F6 F 0.909 0.717 0.315
H13 H 0.155 0.942 0.302
Cu1 Cu 0.500 0.500 0.000
F7 F 0.091 0.283 0.685
F8 F 0.067 0.416 0.304
Si1 Si 0.000 0.500 0.500
F9 F 0.933 0.584 0.696
F10 F 0.857 0.319 0.527
H14 H 0.216 0.725 0.027
F11 F 0.409 0.783 0.685
O8 O 0.137 0.088 0.179
Cu2 Cu 0.000 0.000 0.000
H15 H 0.099 0.206 0.235
F12 F 0.643 0.819 0.527
H16 H 0.701 0.593 0.204
Si2 Si 0.500 0.000 0.500
# - crystal system = monoclinic
# - ΔE_f (meV per atom) = -1929

# CuSiH12O6F6 (GGA-PBE, optimized geometry)
data_CuSiH12O6F6
_cell_length_a 11.060
_cell_length_b 11.060
_cell_length_c 11.060
_cell_angle_alpha 111.42
_cell_angle_beta 111.42
_cell_angle_gamma 111.42
_symmetry_space_group_name_H-M 'P 1'
_symmetry_Int_Tables_number 1
loop_
_symmetry_equiv_pos_as_xyz
'x,y,z'
loop_
_atom_site_label
_atom_site_type_symbol
_atom_site_fract_x
_atom_site_fract_y
_atom_site_fract_z
F1 F 0.899 0.457 0.814
H1 H 0.005 0.751 0.959
O1 O 0.619 0.018 0.698
H2 H 0.723 0.183 0.490
Si1 Si 0.000 0.000 0.500
F2 F 0.918 0.921 0.301
H3 H 0.756 0.569 0.017
O2 O 0.886 0.471 0.292
O3 O 0.327 0.448 0.744
H4 H 0.502 0.721 0.399
H5 H 0.507 0.256 0.952
H6 H 0.721 0.399 0.502
F3 F 0.010 0.842 0.475
H7 H 0.721 0.665 0.326
H8 H 0.309 0.208 0.134
H9 H 0.728 0.116 0.772
F4 F 0.543 0.186 0.101
F5 F 0.186 0.101 0.543
F6 F 0.158 0.525 0.990
F7 F 0.672 0.519 0.608
H10 H 0.665 0.326 0.721
H11 H 0.772 0.728 0.116
O4 O 0.673 0.552 0.256
O5 O 0.112 0.029 0.216
Cu1 Cu 0.000 0.000 0.000
F8 F 0.392 0.328 0.481
Cu2 Cu 0.500 0.000 0.500
O6 O 0.698 0.619 0.018
H12 H 0.272 0.884 0.228
H13 H 0.959 0.005 0.751
O7 O 0.448 0.744 0.327
O8 O 0.302 0.381 0.982
F9 F 0.608 0.672 0.519
H14 H 0.183 0.490 0.723
F10 F 0.699 0.082 0.079
O9 O 0.018 0.698 0.619
O10 O 0.114 0.529 0.708
H15 H 0.601 0.498 0.279
H16 H 0.277 0.817 0.510
H17 H 0.041 0.995 0.249
Si2 Si 0.000 0.500 0.000
Cu3 Cu 0.000 0.500 0.500
H18 H 0.510 0.277 0.817
F11 F 0.082 0.079 0.699
H19 H 0.228 0.272 0.884
H20 H 0.048 0.493 0.744
F12 F 0.475 0.010 0.842
H21 H 0.952 0.507 0.256
O11 O 0.216 0.112 0.029
H22 H 0.326 0.721 0.665
F13 F 0.525 0.990 0.158
F14 F 0.814 0.899 0.457
F15 F 0.457 0.814 0.899
H23 H 0.335 0.674 0.279
H24 H 0.744 0.048 0.493
H25 H 0.279 0.601 0.498
H26 H 0.256 0.952 0.507
O12 O 0.256 0.673 0.552
H27 H 0.244 0.431 0.983
O13 O 0.381 0.982 0.302
H28 H 0.792 0.866 0.691
H29 H 0.134 0.309 0.208
F16 F 0.481 0.392 0.328
O14 O 0.471 0.292 0.886
O15 O 0.744 0.327 0.448
O16 O 0.784 0.888 0.971
H30 H 0.569 0.017 0.756
F17 F 0.519 0.608 0.672
H31 H 0.995 0.249 0.041
H32 H 0.674 0.279 0.335
F18 F 0.842 0.475 0.010
O17 O 0.029 0.216 0.112
H33 H 0.498 0.279 0.601
O18 O 0.971 0.784 0.888
H34 H 0.817 0.510 0.277
H35 H 0.884 0.228 0.272
H36 H 0.208 0.134 0.309
H37 H 0.431 0.983 0.244
H38 H 0.691 0.792 0.866
H39 H 0.399 0.502 0.721
F19 F 0.328 0.481 0.392
O19 O 0.888 0.971 0.784
F20 F 0.301 0.918 0.921
O20 O 0.292 0.886 0.471
H40 H 0.116 0.772 0.728
H41 H 0.249 0.041 0.995
H42 H 0.279 0.335 0.674
H43 H 0.493 0.744 0.048
F21 F 0.101 0.543 0.186
H44 H 0.017 0.756 0.569
H45 H 0.751 0.959 0.005
H46 H 0.866 0.691 0.792
F22 F 0.921 0.301 0.918
F23 F 0.079 0.699 0.082
Si3 Si 0.500 0.500 0.500
O21 O 0.708 0.114 0.529
F24 F 0.990 0.158 0.525
Si4 Si 0.500 0.000 0.000
Cu4 Cu 0.500 0.500 0.000
O22 O 0.552 0.256 0.673
H47 H 0.983 0.244 0.431
H48 H 0.490 0.723 0.183
O23 O 0.529 0.708 0.114
O24 O 0.982 0.302 0.381
# - crystal system = trigonal
# - ΔE_f (meV per atom) = -1776

no.,MP2020-corrected energy (eV/f.u.)
1,-44.580
2,-44.558
3,-20.027
4,-70.579
5,-106.516
6,-137.592